Entry 1:
This record from Materials Project describes an optimized crystal structure of Na9Mg11NbS18O72. The functional is PBE.

```
Na9Mg11NbS18O72
1.0
8.718 0.000 0.000
-4.354 7.594 0.000
-0.005 -0.042 22.586
Na Mg Nb S O
9 11 1 18 72
Direct
0.000 0.000 0.000
0.000 0.000 0.487
0.303 0.334 0.917
0.324 0.657 0.332
0.333 0.676 0.833
0.636 0.001 0.249
0.666 0.333 0.663
0.667 0.333 0.166
0.697 0.667 0.083
0.003 0.001 0.349
0.008 0.007 0.149
0.323 0.660 0.183
0.331 0.674 0.982
0.332 0.667 0.682
0.333 0.667 0.473
0.667 0.334 0.508
0.667 0.341 0.315
0.668 0.326 0.016
0.668 0.333 0.815
0.993 0.993 0.851
0.999 0.000 0.643
0.000 0.293 0.248
0.000 0.708 0.749
0.040 0.667 0.081
0.041 0.382 0.581
0.293 0.001 0.248
0.293 0.294 0.749
0.331 0.372 0.080
0.341 0.959 0.581
0.372 0.333 0.415
0.375 0.040 0.913
0.617 0.659 0.581
0.625 0.960 0.082
0.667 0.040 0.414
0.667 0.627 0.915
0.705 0.999 0.749
0.707 0.706 0.247
0.959 0.334 0.914
0.959 0.627 0.414
0.015 0.825 0.086
0.022 0.193 0.591
0.026 0.211 0.301
0.027 0.819 0.800
0.121 0.640 0.134
0.122 0.481 0.636
0.137 0.645 0.421
0.141 0.491 0.919
0.146 0.694 0.027
0.151 0.450 0.529
0.158 0.470 0.241
0.159 0.692 0.739
0.171 0.978 0.591
0.174 0.196 0.087
0.184 0.211 0.802
0.184 0.973 0.300
0.194 0.174 0.409
0.197 0.027 0.907
0.199 0.177 0.694
0.213 0.027 0.194
0.299 0.849 0.529
0.306 0.451 0.024
0.307 0.467 0.740
0.317 0.843 0.241
0.355 0.493 0.421
0.355 0.863 0.920
0.359 0.878 0.636
0.363 0.488 0.131
0.452 0.306 0.469
0.455 0.154 0.966
0.467 0.306 0.752
0.475 0.158 0.253
0.481 0.360 0.362
0.482 0.121 0.859
0.489 0.139 0.576
0.496 0.360 0.073
0.503 0.641 0.920
0.507 0.864 0.421
0.518 0.642 0.636
0.520 0.880 0.136
0.529 0.693 0.240
0.532 0.841 0.739
0.544 0.847 0.029
0.548 0.701 0.529
0.635 0.513 0.861
0.640 0.119 0.360
0.644 0.137 0.074
0.650 0.511 0.576
0.688 0.529 0.253
0.693 0.148 0.468
0.693 0.547 0.969
0.694 0.161 0.751
0.790 0.821 0.298
0.791 0.973 0.800
0.804 0.974 0.087
0.806 0.829 0.591
0.811 0.784 0.191
0.822 0.023 0.693
0.824 0.803 0.907
0.827 0.021 0.408
0.836 0.307 0.254
0.838 0.534 0.751
0.851 0.307 0.967
0.853 0.548 0.469
0.858 0.510 0.074
0.860 0.350 0.576
0.878 0.518 0.362
0.879 0.361 0.860
0.967 0.181 0.194
0.976 0.800 0.693
0.977 0.805 0.408
0.983 0.176 0.907
```

- Calculated formation energy: -2322.1 meV/atom
- Size of the total moment: 0.00 μB/f.u.
- Space-group type: No. 1

---

Entry 2:
This record from Materials Project describes an optimized crystal structure of Na18Mg8Nb4Si9S9O72. The functional is PBE.

```
Na18Mg8Nb4Si9S9O72
1.0
9.032 0.000 0.000
4.507 7.831 0.000
0.246 -0.022 22.486
Na Mg Nb Si S O
18 8 4 9 9 72
Direct
0.000 0.000 0.000
0.000 0.354 0.507
0.288 0.350 0.004
0.292 0.657 0.854
0.293 0.390 0.358
0.293 0.706 0.518
0.316 0.010 0.089
0.318 0.023 0.597
0.603 0.736 0.014
0.606 0.013 0.521
0.635 0.336 0.762
0.646 0.371 0.258
0.677 0.036 0.846
0.683 0.641 0.348
0.929 0.039 0.349
0.943 0.384 0.850
0.971 0.669 0.431
0.980 0.697 0.920
0.298 0.026 0.948
0.300 0.036 0.452
0.615 0.363 0.617
0.618 0.375 0.114
0.620 0.346 0.911
0.634 0.372 0.420
0.961 0.679 0.280
0.967 0.706 0.783
0.293 0.031 0.240
0.301 0.038 0.746
0.952 0.703 0.076
0.956 0.692 0.581
0.002 0.323 0.351
0.003 0.029 0.851
0.293 0.330 0.852
0.342 0.359 0.512
0.344 0.654 0.014
0.623 0.080 0.015
0.628 0.652 0.514
0.670 0.998 0.687
0.674 0.679 0.186
0.258 0.695 0.682
0.260 0.402 0.183
0.296 0.738 0.347
0.591 0.735 0.848
0.592 0.026 0.347
0.922 0.361 0.016
0.925 0.065 0.514
0.963 0.400 0.683
0.963 0.984 0.183
0.097 0.214 0.011
0.100 0.035 0.507
0.117 0.190 0.292
0.120 0.042 0.791
0.120 0.509 0.839
0.121 0.226 0.406
0.122 0.996 0.908
0.125 0.228 0.684
0.127 0.998 0.186
0.139 0.726 0.339
0.146 0.540 0.525
0.147 0.668 0.029
0.151 0.715 0.627
0.153 0.480 0.130
0.175 0.675 0.735
0.178 0.500 0.237
0.265 0.240 0.909
0.268 0.856 0.684
0.273 0.224 0.188
0.273 0.839 0.401
0.300 0.852 0.010
0.301 0.202 0.510
0.320 0.828 0.293
0.322 0.193 0.792
0.406 0.539 0.953
0.407 0.406 0.450
0.428 0.546 0.675
0.432 0.373 0.178
0.449 0.567 0.348
0.465 0.572 0.069
0.465 0.845 0.507
0.467 0.339 0.846
0.468 0.039 0.010
0.470 0.318 0.566
0.478 0.867 0.191
0.479 0.824 0.795
0.481 0.000 0.686
0.481 0.047 0.294
0.516 0.839 0.902
0.517 0.994 0.400
0.601 0.185 0.350
0.603 0.567 0.852
0.605 0.557 0.570
0.606 0.188 0.073
0.649 0.519 0.177
0.650 0.181 0.676
0.687 0.543 0.452
0.688 0.130 0.955
0.763 0.713 0.841
0.768 0.879 0.340
0.770 0.677 0.245
0.772 0.713 0.127
0.776 0.864 0.626
0.776 0.895 0.743
0.803 0.874 0.026
0.805 0.678 0.525
0.815 0.380 0.674
0.817 0.331 0.348
0.818 0.154 0.177
0.820 0.400 0.962
0.822 0.133 0.459
0.824 0.210 0.849
0.841 0.338 0.069
0.846 0.173 0.566
0.943 0.888 0.521
0.946 0.520 0.024
0.948 0.501 0.735
0.954 0.899 0.238
0.982 0.862 0.844
0.991 0.509 0.344
0.992 0.484 0.627
0.993 0.875 0.130
```

- Calculated formation energy: -2534.2 meV/atom
- Size of the total moment: 0.00 μB/f.u.
- Space-group type: No. 1

---

Entry 3:
This record from Materials Project describes an optimized crystal structure of Na6Mg8Nb4Si3S15O72. The functional is PBE.

```
Na6Mg8Nb4Si3S15O72
1.0
8.744 0.000 0.000
4.363 7.584 0.000
0.012 0.037 22.857
Na Mg Nb Si S O
6 8 4 3 15 72
Direct
0.000 0.000 0.000
0.004 0.998 0.502
0.332 0.335 0.339
0.339 0.331 0.829
0.656 0.677 0.665
0.683 0.664 0.170
0.000 0.002 0.853
0.003 0.001 0.360
0.329 0.338 0.191
0.340 0.332 0.691
0.665 0.673 0.525
0.667 0.670 0.815
0.670 0.668 0.323
0.674 0.670 0.023
0.001 0.995 0.648
0.004 0.994 0.152
0.327 0.346 0.985
0.343 0.338 0.489
0.035 0.621 0.093
0.349 0.619 0.593
0.622 0.039 0.592
0.002 0.292 0.257
0.003 0.707 0.757
0.045 0.338 0.590
0.292 0.004 0.757
0.297 0.707 0.257
0.338 0.044 0.090
0.375 0.960 0.421
0.379 0.674 0.922
0.623 0.338 0.090
0.672 0.376 0.421
0.672 0.957 0.922
0.708 0.002 0.257
0.710 0.293 0.757
0.955 0.374 0.922
0.959 0.668 0.421
0.023 0.183 0.308
0.027 0.792 0.809
0.028 0.821 0.098
0.034 0.170 0.595
0.123 0.362 0.642
0.137 0.508 0.147
0.141 0.503 0.426
0.143 0.354 0.930
0.158 0.532 0.750
0.161 0.301 0.536
0.163 0.304 0.250
0.163 0.819 0.598
0.168 0.037 0.095
0.169 0.529 0.032
0.184 0.796 0.307
0.187 0.023 0.810
0.196 0.982 0.414
0.197 0.822 0.917
0.203 0.981 0.703
0.204 0.822 0.202
0.300 0.536 0.532
0.306 0.164 0.751
0.308 0.157 0.036
0.315 0.533 0.249
0.353 0.144 0.427
0.356 0.511 0.649
0.363 0.503 0.929
0.366 0.122 0.142
0.457 0.855 0.473
0.459 0.691 0.976
0.467 0.842 0.760
0.469 0.699 0.259
0.482 0.884 0.367
0.484 0.866 0.080
0.487 0.640 0.870
0.504 0.128 0.649
0.504 0.359 0.426
0.507 0.142 0.931
0.513 0.644 0.580
0.522 0.355 0.142
0.531 0.170 0.532
0.535 0.161 0.247
0.535 0.310 0.753
0.545 0.302 0.036
0.638 0.883 0.869
0.641 0.493 0.080
0.642 0.482 0.367
0.670 0.839 0.580
0.693 0.457 0.473
0.693 0.854 0.975
0.696 0.840 0.259
0.698 0.468 0.761
0.794 0.027 0.307
0.795 0.186 0.810
0.805 0.175 0.094
0.814 0.038 0.598
0.822 0.203 0.704
0.823 0.979 0.202
0.824 0.195 0.415
0.825 0.984 0.916
0.839 0.699 0.760
0.841 0.467 0.259
0.842 0.657 0.082
0.855 0.455 0.975
0.856 0.689 0.473
0.871 0.486 0.579
0.881 0.642 0.367
0.885 0.483 0.870
0.980 0.822 0.703
0.982 0.199 0.202
0.984 0.823 0.415
0.986 0.193 0.916
```

- Calculated formation energy: -2391.9 meV/atom
- Size of the total moment: 0.00 μB/f.u.
- Space-group type: No. 1